1.
! Pd4S (r²SCAN, relaxed); values from VASP
&SYSTEM
  ibrav = 0, nat = 10, ntyp = 2
/
ATOMIC_SPECIES
Pd 106.42 Pd.upf
S 32.06 S.upf
CELL_PARAMETERS angstrom
-1.558 4.308 2.362
0.556 -2.308 4.575
5.330 1.788 0.254
ATOMIC_POSITIONS angstrom
Pd 3.489 4.002 3.641
Pd 0.645 3.665 3.327
Pd 2.001 -0.441 3.784
Pd 0.260 1.300 5.085
Pd 3.171 1.991 1.476
Pd 2.841 2.363 5.796
Pd 4.488 1.011 3.725
Pd 0.421 1.265 1.933
S 2.164 1.894 3.596
S 0.000 0.000 0.000
! Final energy = -0.742 hartree per atom

=====

2.
! Ta20Pd9S50 (r²SCAN, relaxed); values from VASP
&SYSTEM
  ibrav = 0, nat = 79, ntyp = 3
/
ATOMIC_SPECIES
Ta 180.95 Ta.upf
Pd 106.42 Pd.upf
S 32.06 S.upf
CELL_PARAMETERS angstrom
4.256 -3.791 -8.631
6.821 6.833 3.710
10.542 -9.713 6.170
ATOMIC_POSITIONS angstrom
Ta 13.740 -4.067 0.645
Ta 13.239 -6.221 -1.822
Ta 8.451 -4.545 4.364
Ta 7.936 -6.676 1.888
Ta 14.270 -1.951 3.138
Ta 7.350 -4.720 -1.889
Ta 13.683 0.004 -0.640
Ta 13.168 -2.127 -3.115
Ta 8.381 -0.450 3.070
Ta 7.880 -2.604 0.604
Ta 14.688 -7.264 0.972
Ta 14.182 -9.393 -1.481
Ta 9.407 -7.717 4.687
Ta 15.724 -3.006 5.937
Ta 15.207 -5.114 3.469
Ta 6.412 -1.558 -2.220
Ta 5.895 -3.666 -4.689
Ta 12.213 1.045 -3.438
Ta 7.438 2.721 2.730
Ta 6.931 0.592 0.277
Pd 4.512 -2.730 -7.398
Pd 6.565 5.771 2.477
Pd 6.051 3.640 0.002
Pd 5.539 1.521 -2.460
Pd 5.027 -0.600 -4.923
Pd 11.834 0.909 5.554
Pd 10.308 -5.412 -1.788
Pd 11.311 -1.258 3.036
Pd 9.784 -7.580 -4.306
S 9.501 -8.093 0.599
S 15.808 -3.382 1.818
S 15.297 -5.498 -0.640
S 10.524 -3.854 5.522
S 9.999 -5.967 3.058
S 11.620 -0.704 -1.809
S 11.095 -2.817 -4.274
S 6.322 -1.173 1.888
S 5.811 -3.289 -0.569
S 12.119 1.421 0.649
S 8.904 -4.887 0.143
S 8.497 -6.970 -2.306
S 14.762 -2.293 -1.095
S 10.021 -0.660 5.024
S 9.419 -2.752 2.623
S 12.200 -3.919 -1.375
S 11.598 -6.011 -3.777
S 6.857 -4.378 2.343
S 13.122 0.300 3.554
S 12.715 -1.784 1.105
S 13.459 -9.382 0.876
S 12.944 -11.514 -1.589
S 14.996 -3.013 8.286
S 14.485 -5.134 5.811
S 13.978 -7.243 3.329
S 7.641 0.571 -2.081
S 7.136 -1.539 -4.562
S 6.623 -3.659 -7.037
S 8.676 4.842 2.838
S 8.162 2.710 0.373
S 12.497 -6.203 0.554
S 11.998 -8.365 -1.893
S 18.297 -3.659 -0.654
S 13.536 -1.997 5.505
S 13.007 -4.092 3.006
S 8.612 -2.579 -1.758
S 8.084 -4.674 -4.256
S 3.323 -3.012 1.902
S 9.622 1.694 3.141
S 9.122 -0.468 0.694
S 10.956 -9.143 3.398
S 17.262 -4.435 4.637
S 16.730 -6.557 2.166
S 16.235 -8.689 -0.303
S 11.467 -7.024 5.858
S 10.153 0.352 -4.609
S 5.385 2.016 1.553
S 4.889 -0.116 -0.917
S 4.358 -2.237 -3.388
S 10.664 2.470 -2.148
! Final energy = -0.772 hartree per atom

=====

3.
! Tl2Pd3S2 (r²SCAN, relaxed); values from VASP
&SYSTEM
  ibrav = 0, nat = 7, ntyp = 3
/
ATOMIC_SPECIES
Tl 204.38 Tl.upf
Pd 106.42 Pd.upf
S 32.06 S.upf
CELL_PARAMETERS angstrom
1.197 0.376 5.675
-4.387 0.451 3.785
-1.227 -4.515 3.448
ATOMIC_POSITIONS angstrom
Tl 0.000 0.000 0.000
Tl -2.208 -1.844 6.454
Pd -0.613 -2.257 1.724
Pd 0.599 0.188 2.837
Pd -2.193 0.225 1.893
S -3.180 -2.655 9.294
S -1.236 -1.032 3.613
! Final energy = -1.020 hartree per atom

=====

4.
! U2PdS4 (r²SCAN, relaxed); values from VASP
&SYSTEM
  ibrav = 0, nat = 14, ntyp = 3
/
ATOMIC_SPECIES
U 238.03 U.upf
Pd 106.42 Pd.upf
S 32.06 S.upf
CELL_PARAMETERS angstrom
0.000 5.375 6.606
4.196 0.000 6.606
4.196 5.375 0.000
ATOMIC_POSITIONS angstrom
U 2.977 3.198 6.272
U 2.977 7.551 6.939
U 5.075 4.864 2.969
U 5.075 5.886 10.242
Pd 2.101 2.687 3.303
Pd 0.003 5.375 6.606
S 3.321 5.048 8.279
S 3.321 5.702 4.933
S 5.419 3.014 4.976
S 5.419 7.735 8.236
S 2.586 0.869 4.782
S 2.586 4.505 1.824
S 0.488 3.557 5.127
S 0.488 1.818 1.479
! Final energy = -1.187 hartree per atom

=====

no.,size of the total moment (μB/f.u.)
1,0.00
2,0.73
3,0.00
4,4.00